(1)
VASP calculation (meta-GGA r2SCAN) on a geometry-optimized Zr2Fe12P7 structure.

SG ... P-6

a b c (Å): 9.120 9.120 3.468
angles (deg): 90.00 90.00 120.00
Element x y z (fractional)
Zr1 0.000 0.000 0.000
Zr2 0.333 0.667 0.500
Fe1 0.056 0.776 0.500
Fe2 0.093 0.395 0.000
Fe3 0.224 0.280 0.500
Fe4 0.302 0.907 0.000
Fe5 0.393 0.220 0.000
Fe6 0.546 0.117 0.500
Fe7 0.571 0.454 0.500
Fe8 0.605 0.698 0.000
Fe9 0.720 0.944 0.500
Fe10 0.780 0.173 0.000
Fe11 0.827 0.607 0.000
Fe12 0.883 0.429 0.500
P1 0.085 0.636 0.000
P2 0.257 0.052 0.500
P3 0.364 0.449 0.000
P4 0.551 0.915 0.000
P5 0.667 0.333 0.000
P6 0.795 0.743 0.500
P7 0.948 0.205 0.500

=====

(2)
VASP calculation (meta-GGA r2SCAN) on a geometry-optimized ZrFeP structure.

SG ... Pnma

a b c (Å): 6.305 3.747 7.003
angles (deg): 90.00 90.00 90.00
Element x y z (fractional)
Zr1 0.012 0.250 0.188
Zr2 0.488 0.750 0.688
Zr3 0.512 0.250 0.312
Zr4 0.988 0.750 0.812
Fe1 0.145 0.250 0.563
Fe2 0.355 0.750 0.063
Fe3 0.645 0.250 0.937
Fe4 0.855 0.750 0.437
P1 0.216 0.750 0.391
P2 0.284 0.250 0.891
P3 0.716 0.750 0.109
P4 0.784 0.250 0.609

=====

(3)
VASP calculation (meta-GGA r2SCAN) on a geometry-optimized Tm12Fe2Pb3 structure.

SG ... I4/mmm

a b c (Å): 8.401 8.401 8.401
angles (deg): 109.93 109.93 108.56
Element x y z (fractional)
Tm1 0.038 0.792 0.246
Tm2 0.208 0.454 0.246
Tm3 0.208 0.962 0.754
Tm4 0.310 0.310 0.620
Tm5 0.310 0.690 0.000
Tm6 0.454 0.208 0.246
Tm7 0.546 0.792 0.754
Tm8 0.690 0.310 0.000
Tm9 0.690 0.690 0.380
Tm10 0.792 0.038 0.246
Tm11 0.792 0.546 0.754
Tm12 0.962 0.208 0.754
Fe1 0.380 0.380 0.000
Fe2 0.620 0.620 0.000
Pb1 0.000 0.000 0.000
Pb2 0.000 0.500 0.500
Pb3 0.500 0.000 0.500

=====

(4)
VASP calculation (meta-GGA r2SCAN) on a geometry-optimized FePd structure.

a b c (Å): 3.738 3.834 3.834
angles (deg): 90.00 90.00 90.00
Element x y z (fractional)
Pd1 0.500 0.000 0.500
Pd2 0.500 0.500 0.000
Fe1 0.000 0.000 0.000
Fe2 0.000 0.500 0.500

=====

(5)
VASP calculation (meta-GGA r2SCAN) on a geometry-optimized FePd3 structure.

SG ... Pm-3m

a b c (Å): 3.865 3.865 3.865
angles (deg): 90.00 90.00 90.00
Element x y z (fractional)
Fe1 0.000 0.000 0.000
Pd1 0.000 0.500 0.500
Pd2 0.500 0.000 0.500
Pd3 0.500 0.500 0.000

=====

(6)
VASP calculation (meta-GGA r2SCAN) on a geometry-optimized FeSb6Pd structure.

SG ... C2/m

a b c (Å): 7.986 7.986 9.248
angles (deg): 125.13 125.13 70.48
Element x y z (fractional)
Fe1 0.000 0.500 0.000
Fe2 0.500 0.000 0.000
Sb1 0.147 0.833 0.152
Sb2 0.167 0.853 0.848
Sb3 0.182 0.507 0.334
Sb4 0.325 0.325 0.985
Sb5 0.350 0.350 0.698
Sb6 0.493 0.818 0.666
Sb7 0.507 0.182 0.334
Sb8 0.650 0.650 0.302
Sb9 0.675 0.675 0.015
Sb10 0.818 0.493 0.666
Sb11 0.833 0.147 0.152
Sb12 0.853 0.167 0.848
Pd1 0.000 0.500 0.500
Pd2 0.500 0.000 0.500

=====

Energy relative to the elements for the records above, in order: -0.53 -0.95 -0.27 -0.12 -0.15 -0.14 eV per atom
Total moment for the records above, in order: 11.0 0.0 2.0 7.1 4.4 0.0 μB per cell